[1]
Crystalline LiBiP4O12 at its relaxed geometry, computed with PBE-GGA.

Geometry as CIF:
```
data_LiBiP4O12
_cell_length_a 7.590
_cell_length_b 9.046
_cell_length_c 16.599
_cell_angle_alpha 90.00
_cell_angle_beta 111.00
_cell_angle_gamma 90.00
_space_group_name_H-M_alt 'P 1 21/c 1'
_space_group_IT_number 14
loop_
_space_group_symop_operation_xyz
'x,y,z'
'-x,-y,-z'
'-x,y+1/2,-z+1/2'
'x,-y+1/2,z+1/2'
loop_
_atom_site_label
_atom_site_type_symbol
_atom_site_fract_x
_atom_site_fract_y
_atom_site_fract_z
Li1 Li 0.070 0.080 0.076
Bi1 Bi 0.319 0.654 0.860
P1 P 0.093 0.030 0.810
P2 P 0.233 0.741 0.056
P3 P 0.337 0.560 0.214
P4 P 0.365 0.240 0.424
O1 O 0.084 0.624 0.344
O2 O 0.091 0.613 0.723
O3 O 0.114 0.622 0.540
O4 O 0.179 0.039 0.735
O5 O 0.199 0.652 0.133
O6 O 0.208 0.638 0.982
O7 O 0.241 0.114 0.891
O8 O 0.272 0.108 0.371
O9 O 0.415 0.237 0.520
O10 O 0.432 0.658 0.291
O11 O 0.453 0.711 0.600
O12 O 0.455 0.043 0.685
```

Calculated values
ΔE_f = -45.488 eV per formula unit
Relative energy among the computed polymorphs = 3.7 kJ per mole of atoms

[2]
Crystalline LiBi2P3O12 at its relaxed geometry, computed with PBE-GGA.

Geometry as CIF:
```
data_LiBi2P3O12
_cell_length_a 8.772
_cell_length_b 8.787
_cell_length_c 9.676
_cell_angle_alpha 63.04
_cell_angle_beta 89.73
_cell_angle_gamma 60.15
_space_group_name_H-M_alt 'P -1'
_space_group_IT_number 2
loop_
_space_group_symop_operation_xyz
'x,y,z'
'-x,-y,-z'
loop_
_atom_site_label
_atom_site_type_symbol
_atom_site_fract_x
_atom_site_fract_y
_atom_site_fract_z
Li1 Li 0.242 0.196 0.122
Bi1 Bi 0.163 0.694 0.967
Bi2 Bi 0.352 0.300 0.565
P1 P 0.049 0.501 0.764
P2 P 0.239 0.813 0.241
P3 P 0.453 0.793 0.754
O1 O 0.000 0.333 0.188
O2 O 0.027 0.975 0.190
O3 O 0.054 0.314 0.914
O4 O 0.102 0.395 0.386
O5 O 0.243 0.403 0.750
O6 O 0.286 0.629 0.405
O7 O 0.292 0.752 0.109
O8 O 0.342 0.692 0.814
O9 O 0.348 0.905 0.246
O10 O 0.350 0.352 0.116
O11 O 0.369 0.997 0.746
O12 O 0.473 0.806 0.593
```

Calculated values
ΔE_f = -41.397 eV per formula unit
Relative energy among the computed polymorphs = 0.0 kJ per mole of atoms

[3]
Crystalline LiBi3P6O20 at its relaxed geometry, computed with PBE-GGA.

Geometry as CIF:
```
data_LiBi3P6O20
_cell_length_a 13.384
_cell_length_b 14.724
_cell_length_c 10.338
_cell_angle_alpha 90.00
_cell_angle_beta 90.00
_cell_angle_gamma 90.00
_space_group_name_H-M_alt 'A e a 2'
_space_group_IT_number 41
loop_
_space_group_symop_operation_xyz
'x,y,z'
'-x,-y,z'
'-x+1/2,y+1/2,z'
'x+1/2,-y+1/2,z'
'x,y+1/2,z+1/2'
'-x,-y+1/2,z+1/2'
'-x+1/2,y,z+1/2'
'x+1/2,-y,z+1/2'
loop_
_atom_site_label
_atom_site_type_symbol
_atom_site_fract_x
_atom_site_fract_y
_atom_site_fract_z
Li1 Li 0.000 0.000 0.000
Bi1 Bi 0.000 0.000 0.299
Bi2 Bi 0.227 0.216 0.455
P1 P 0.036 0.305 0.001
P2 P 0.188 0.374 0.181
P3 P 0.205 0.052 0.188
O1 O 0.048 0.372 0.889
O2 O 0.071 0.219 0.538
O3 O 0.076 0.360 0.130
O4 O 0.100 0.221 0.979
O5 O 0.116 0.017 0.107
O6 O 0.172 0.052 0.332
O7 O 0.191 0.347 0.321
O8 O 0.200 0.483 0.171
O9 O 0.236 0.334 0.588
O10 O 0.249 0.143 0.150
```

Calculated values
ΔE_f = -73.180 eV per formula unit
Relative energy among the computed polymorphs = 0.0 kJ per mole of atoms

[4]
Crystalline Li3BiP2O8 at its relaxed geometry, computed with PBE-GGA.

Geometry as CIF:
```
data_Li3BiP2O8
_cell_length_a 5.097
_cell_length_b 19.030
_cell_length_c 8.283
_cell_angle_alpha 90.00
_cell_angle_beta 127.00
_cell_angle_gamma 90.00
_space_group_name_H-M_alt 'P 1 21/c 1'
_space_group_IT_number 14
loop_
_space_group_symop_operation_xyz
'x,y,z'
'-x,-y,-z'
'-x,y+1/2,-z+1/2'
'x,-y+1/2,z+1/2'
loop_
_atom_site_label
_atom_site_type_symbol
_atom_site_fract_x
_atom_site_fract_y
_atom_site_fract_z
Li1 Li 0.046 0.046 0.316
Li2 Li 0.269 0.620 0.998
Li3 Li 0.375 0.202 0.673
Bi1 Bi 0.184 0.122 0.986
P1 P 0.100 0.716 0.289
P2 P 0.465 0.034 0.752
O1 O 0.038 0.677 0.108
O2 O 0.136 0.054 0.720
O3 O 0.157 0.703 0.781
O4 O 0.197 0.205 0.201
O5 O 0.235 0.554 0.530
O6 O 0.420 0.689 0.493
O7 O 0.455 0.548 0.226
O8 O 0.470 0.072 0.591
```

Calculated values
ΔE_f = -35.438 eV per formula unit
Relative energy among the computed polymorphs = 3.1 kJ per mole of atoms

[5]
Crystalline LiBiP4O12 at its relaxed geometry, computed with PBE-GGA.

Geometry as CIF:
```
data_LiBiP4O12
_cell_length_a 17.704
_cell_length_b 12.118
_cell_length_c 5.307
_cell_angle_alpha 90.00
_cell_angle_beta 105.16
_cell_angle_gamma 90.00
_space_group_name_H-M_alt 'C 1 2/m 1'
_space_group_IT_number 12
loop_
_space_group_symop_operation_xyz
'x,y,z'
'-x,-y,-z'
'-x,y,-z'
'x,-y,z'
'x+1/2,y+1/2,z'
'-x+1/2,-y+1/2,-z'
'-x+1/2,y+1/2,-z'
'x+1/2,-y+1/2,z'
loop_
_atom_site_label
_atom_site_type_symbol
_atom_site_fract_x
_atom_site_fract_y
_atom_site_fract_z
Li1 Li 0.250 0.250 0.000
Bi1 Bi 0.149 0.000 0.690
P1 P 0.084 0.192 0.164
P2 P 0.183 0.382 0.462
O1 O 0.000 0.233 0.000
O2 O 0.073 0.116 0.377
O3 O 0.115 0.310 0.276
O4 O 0.132 0.150 0.989
O5 O 0.142 0.500 0.389
O6 O 0.195 0.356 0.742
O7 O 0.246 0.124 0.651
```

Calculated values
ΔE_f = -45.361 eV per formula unit
Relative energy among the computed polymorphs = 4.4 kJ per mole of atoms

[6]
Crystalline LiBiP4O12 at its relaxed geometry, computed with PBE-GGA.

Geometry as CIF:
```
data_LiBiP4O12
_cell_length_a 8.074
_cell_length_b 12.198
_cell_length_c 10.581
_cell_angle_alpha 90.00
_cell_angle_beta 111.68
_cell_angle_gamma 90.00
_space_group_name_H-M_alt 'C 1 2/c 1'
_space_group_IT_number 15
loop_
_space_group_symop_operation_xyz
'x,y,z'
'-x,-y,-z'
'-x,y,-z+1/2'
'x,-y,z+1/2'
'x+1/2,y+1/2,z'
'-x+1/2,-y+1/2,-z'
'-x+1/2,y+1/2,-z+1/2'
'x+1/2,-y+1/2,z+1/2'
loop_
_atom_site_label
_atom_site_type_symbol
_atom_site_fract_x
_atom_site_fract_y
_atom_site_fract_z
Li1 Li 0.000 0.136 0.250
Bi1 Bi 0.000 0.127 0.750
P1 P 0.053 0.326 0.010
P2 P 0.223 0.466 0.451
O1 O 0.053 0.246 0.597
O2 O 0.081 0.367 0.417
O3 O 0.089 0.432 0.936
O4 O 0.148 0.043 0.403
O5 O 0.211 0.027 0.663
O6 O 0.217 0.286 0.124
```

Calculated values
ΔE_f = -45.164 eV per formula unit
Relative energy among the computed polymorphs = 5.4 kJ per mole of atoms

[7]
Crystalline Li3Bi3P4O16 at its relaxed geometry, computed with PBE-GGA.

Geometry as CIF:
```
data_Li3Bi3P4O16
_cell_length_a 17.987
_cell_length_b 6.746
_cell_length_c 10.987
_cell_angle_alpha 90.00
_cell_angle_beta 92.41
_cell_angle_gamma 90.00
_space_group_name_H-M_alt 'C 1 2/c 1'
_space_group_IT_number 15
loop_
_space_group_symop_operation_xyz
'x,y,z'
'-x,-y,-z'
'-x,y,-z+1/2'
'x,-y,z+1/2'
'x+1/2,y+1/2,z'
'-x+1/2,-y+1/2,-z'
'-x+1/2,y+1/2,-z+1/2'
'x+1/2,-y+1/2,z+1/2'
loop_
_atom_site_label
_atom_site_type_symbol
_atom_site_fract_x
_atom_site_fract_y
_atom_site_fract_z
Li1 Li 0.156 0.084 0.262
Li2 Li 0.250 0.250 0.500
Bi1 Bi 0.000 0.144 0.750
Bi2 Bi 0.139 0.316 0.009
P1 P 0.066 0.190 0.494
P2 P 0.191 0.443 0.758
O1 O 0.009 0.284 0.969
O2 O 0.066 0.090 0.366
O3 O 0.087 0.032 0.594
O4 O 0.126 0.356 0.494
O5 O 0.131 0.280 0.786
O6 O 0.147 0.367 0.218
O7 O 0.237 0.458 0.884
O8 O 0.246 0.399 0.658
```

Calculated values
ΔE_f = -62.986 eV per formula unit

[8]
Crystalline Li3BiP2O8 at its relaxed geometry, computed with PBE-GGA.

Geometry as CIF:
```
data_Li3BiP2O8
_cell_length_a 8.5403
_cell_length_b 8.5403
_cell_length_c 7.5664
_cell_angle_alpha 90.00
_cell_angle_beta 90.00
_cell_angle_gamma 120.00
_space_group_name_H-M_alt 'P -3'
_space_group_IT_number 147
loop_
_space_group_symop_operation_xyz
'x,y,z'
'-x,-y,-z'
'-y,x-y,z'
'y,-x+y,-z'
'-x+y,-x,z'
'x-y,x,-z'
loop_
_atom_site_label
_atom_site_type_symbol
_atom_site_fract_x
_atom_site_fract_y
_atom_site_fract_z
Li1 Li 0.0000 0.0000 0.0000
Li2 Li 0.0212 0.6756 0.8704
Li3 Li 0.3333 0.6667 0.0162
Bi1 Bi 0.0000 0.0000 0.5000
Bi2 Bi 0.3333 0.6667 0.5508
P1 P 0.0259 0.6912 0.2513
O1 O 0.0849 0.2119 0.7759
O2 O 0.1051 0.5195 0.7620
O3 O 0.1144 0.7447 0.4371
O4 O 0.1698 0.7467 0.1049
```

Calculated values
ΔE_f = -35.820 eV per formula unit
Relative energy among the computed polymorphs = 0.5 kJ per mole of atoms